1.
Here is SrRuN2 after structural relaxation from Materials Project. Energies are from GGA-PBE.

Geometry as POSCAR:
```
SrRuN2
1.0
-3.6149 3.8676 3.1293
-6.6083 -3.4597 -3.3577
0.9371 -4.5022 2.7947
Sr Ru N
4 4 8
Direct
0.3363 0.8983 0.6562 Sr
0.6637 0.3983 0.8438 Sr
0.6637 0.1017 0.3438 Sr
0.3363 0.6017 0.1562 Sr
0.1106 0.3571 0.5737 Ru
0.8894 0.8571 0.9263 Ru
0.8894 0.6429 0.4263 Ru
0.1106 0.1429 0.0737 Ru
0.2326 0.9159 0.0780 N
0.7674 0.4159 0.4220 N
0.7674 0.0841 0.9220 N
0.2326 0.5841 0.5780 N
0.2492 0.3154 0.9536 N
0.7508 0.8154 0.5464 N
0.7508 0.6846 0.0464 N
0.2492 0.1846 0.4536 N
```

- Crystal system: monoclinic
- Spin magnetization: 0.0 μB per cell
- Energy of formation from the pure elements: -392 meV/atom
- Final energy: -113.93 eV per cell

=====

2.
Here is Sr4RuN4 after structural relaxation from Materials Project. Energies are from GGA-PBE.

Geometry as POSCAR:
```
Sr4RuN4
1.0
10.6954 0.0000 0.0000
0.0000 4.1240 0.0000
0.0000 0.0000 16.3128
Sr Ru N
16 4 16
Direct
0.5882 0.2500 0.9195 Sr
0.0882 0.2500 0.5805 Sr
0.4118 0.7500 0.0805 Sr
0.9118 0.7500 0.4195 Sr
0.6461 0.2500 0.5199 Sr
0.1461 0.2500 0.9801 Sr
0.3539 0.7500 0.4801 Sr
0.8539 0.7500 0.0199 Sr
0.7148 0.2500 0.7345 Sr
0.2148 0.2500 0.7655 Sr
0.2852 0.7500 0.2655 Sr
0.7852 0.7500 0.2345 Sr
0.0421 0.2500 0.1720 Sr
0.5421 0.2500 0.3280 Sr
0.9579 0.7500 0.8280 Sr
0.4579 0.7500 0.6720 Sr
0.6292 0.2500 0.1295 Ru
0.1292 0.2500 0.3705 Ru
0.3708 0.7500 0.8705 Ru
0.8708 0.7500 0.6295 Ru
0.3021 0.2500 0.3663 N
0.8021 0.2500 0.1337 N
0.6979 0.7500 0.6337 N
0.1979 0.7500 0.8663 N
0.9407 0.2500 0.9179 N
0.4407 0.2500 0.5821 N
0.0593 0.7500 0.0821 N
0.5593 0.7500 0.4179 N
0.9721 0.2500 0.3244 N
0.4721 0.2500 0.1756 N
0.0279 0.7500 0.6756 N
0.5279 0.7500 0.8244 N
0.8191 0.2500 0.8886 N
0.3191 0.2500 0.6114 N
0.1809 0.7500 0.1114 N
0.6809 0.7500 0.3886 N
```

- Crystal system: orthorhombic
- Spin magnetization: 0.0 μB per cell
- Energy of formation from the pure elements: -528 meV/atom
- Final energy: -210.74 eV per cell
- Energy relative to the lowest polymorph listed for this composition: 52.1 meV/atom

=====

3.
Here is Sr2RuN2 after structural relaxation from Materials Project. Energies are from GGA-PBE.

Geometry as POSCAR:
```
Sr2RuN2
1.0
-1.9188 1.5969 3.0290
-3.4364 -0.7350 -1.7894
2.4187 -6.1100 2.2101
Sr Ru N
2 1 2
Direct
0.1422 0.1422 0.7845 Sr
0.8578 0.8578 0.2155 Sr
0.5000 0.5000 0.5000 Ru
0.6445 0.6445 0.7890 N
0.3555 0.3555 0.2110 N
```

- Crystal system: orthorhombic
- Spin magnetization: 0.0 μB per cell
- Energy of formation from the pure elements: -596 meV/atom
- Final energy: -31.58 eV per cell

=====

4.
Here is Sr3Ru2N4 after structural relaxation from Materials Project. Energies are from GGA-PBE.

Geometry as POSCAR:
```
Sr3Ru2N4
1.0
-0.9288 0.8596 7.1626
-0.7404 -7.5461 -4.8369
5.5404 -0.9253 0.5955
Sr Ru N
6 4 8
Direct
0.2426 0.9859 0.0430 Sr
0.7574 0.7433 0.4570 Sr
0.7574 0.0141 0.9570 Sr
0.2426 0.2567 0.5430 Sr
0.0000 0.5979 0.7500 Sr
0.0000 0.4021 0.2500 Sr
0.5872 0.1640 0.5895 Ru
0.4128 0.5768 0.9105 Ru
0.4128 0.8360 0.4105 Ru
0.5872 0.4232 0.0895 Ru
0.2401 0.9394 0.5290 N
0.7599 0.6993 0.9710 N
0.7599 0.0606 0.4710 N
0.2401 0.3007 0.0290 N
0.6642 0.2701 0.9146 N
0.3358 0.6058 0.5854 N
0.3358 0.7299 0.0854 N
0.6642 0.3942 0.4146 N
```

- Crystal system: monoclinic
- Spin magnetization: 0.0 μB per cell
- Energy of formation from the pure elements: -425 meV/atom
- Final energy: -118.69 eV per cell
- Energy relative to the lowest polymorph listed for this composition: 47.4 meV/atom

=====

5.
Here is Sr4RuN4 after structural relaxation from Materials Project. Energies are from GGA-PBE.

Geometry as POSCAR:
```
Sr4RuN4
1.0
6.3894 -0.0758 -0.0905
2.3084 6.0466 -0.0534
1.6048 2.5652 8.4991
Sr Ru N
8 2 8
Direct
0.7820 0.5720 0.1457 Sr
0.2180 0.4280 0.8543 Sr
0.7266 0.1975 0.9691 Sr
0.2734 0.8025 0.0309 Sr
0.7327 0.4998 0.5642 Sr
0.2673 0.5002 0.4358 Sr
0.2169 0.9543 0.6215 Sr
0.7831 0.0457 0.3785 Sr
0.7177 0.8529 0.7564 Ru
0.2823 0.1471 0.2436 Ru
0.9797 0.6926 0.6198 N
0.0203 0.3074 0.3802 N
0.9565 0.8233 0.8916 N
0.0435 0.1767 0.1084 N
0.5477 0.6374 0.8071 N
0.4523 0.3626 0.1929 N
0.4632 0.8509 0.3326 N
0.5368 0.1491 0.6674 N
```

- Crystal system: triclinic
- Spin magnetization: 0.0 μB per cell
- Energy of formation from the pure elements: -580 meV/atom
- Final energy: -106.31 eV per cell
- Energy relative to the lowest polymorph listed for this composition: 0.0 meV/atom

=====

6.
Here is Zr4Ru2N after structural relaxation from Materials Project. Energies are from GGA-PBE.

Geometry as POSCAR:
```
Zr4Ru2N
1.0
1.3294 -8.3712 2.3543
-4.3617 -3.3894 6.8465
-6.2981 -5.9962 -1.3292
Zr Ru N
16 8 4
Direct
0.1250 0.6250 0.6250 Zr
0.6250 0.1250 0.6250 Zr
0.6250 0.6250 0.1250 Zr
0.6250 0.6250 0.6250 Zr
0.8158 0.8158 0.1842 Zr
0.1842 0.1842 0.8158 Zr
0.8158 0.1842 0.8158 Zr
0.1842 0.8158 0.1842 Zr
0.1842 0.8158 0.8158 Zr
0.8158 0.1842 0.1842 Zr
0.4342 0.4342 0.0658 Zr
0.0658 0.0658 0.4342 Zr
0.4342 0.0658 0.4342 Zr
0.0658 0.4342 0.0658 Zr
0.0658 0.4342 0.4342 Zr
0.4342 0.0658 0.0658 Zr
0.7610 0.4130 0.4130 Ru
0.4130 0.7610 0.4130 Ru
0.4130 0.4130 0.7610 Ru
0.4130 0.4130 0.4130 Ru
0.4890 0.8370 0.8370 Ru
0.8370 0.4890 0.8370 Ru
0.8370 0.8370 0.4890 Ru
0.8370 0.8370 0.8370 Ru
0.6250 0.1250 0.1250 N
0.1250 0.6250 0.1250 N
0.1250 0.1250 0.6250 N
0.1250 0.1250 0.1250 N
```

- Crystal system: cubic
- Spin magnetization: 0.0 μB per cell
- Energy of formation from the pure elements: -884 meV/atom
- Final energy: -267.62 eV per cell

=====

7.
Here is SN after structural relaxation from Materials Project. Energies are from GGA-PBE.

Geometry as POSCAR:
```
SN
1.0
4.2845 0.0000 0.0000
0.0000 4.4044 0.0000
0.0000 2.3331 8.6691
S N
4 4
Direct
0.1054 0.7989 0.1001 S
0.6054 0.2011 0.3999 S
0.8946 0.2011 0.8999 S
0.3946 0.7989 0.6001 S
0.0557 0.1853 0.0685 N
0.5557 0.8147 0.4315 N
0.9443 0.8147 0.9315 N
0.4443 0.1853 0.5685 N
```

- Crystal system: monoclinic
- Spin magnetization: 0.0 μB per cell
- Energy of formation from the pure elements: 509 meV/atom
- Final energy: -44.38 eV per cell

=====

8.
Here is S3N after structural relaxation from Materials Project. Energies are from GGA-PBE.

Geometry as POSCAR:
```
S3N
1.0
-0.6714 7.7351 0.8758
-0.3744 -1.0004 8.5481
13.2016 1.0663 0.7030
S N
24 8
Direct
0.2593 0.6419 0.1368 S
0.2407 0.1419 0.3632 S
0.7407 0.3581 0.6368 S
0.7593 0.8581 0.8632 S
0.7407 0.3581 0.8632 S
0.7593 0.8581 0.6368 S
0.2593 0.6419 0.3632 S
0.2407 0.1419 0.1368 S
0.0101 0.7197 0.1098 S
0.4899 0.2197 0.3902 S
0.9899 0.2803 0.6098 S
0.5101 0.7803 0.8902 S
0.9899 0.2803 0.8902 S
0.5101 0.7803 0.6098 S
0.0101 0.7197 0.3902 S
0.4899 0.2197 0.1098 S
0.8318 0.5431 0.1372 S
0.6682 0.0431 0.3628 S
0.1682 0.4569 0.6372 S
0.3318 0.9569 0.8628 S
0.1682 0.4569 0.8628 S
0.3318 0.9569 0.6372 S
0.8318 0.5431 0.3628 S
0.6682 0.0431 0.1372 S
0.3268 0.6741 0.2500 N
0.1732 0.1741 0.2500 N
0.6732 0.3259 0.7500 N
0.8268 0.8259 0.7500 N
0.7555 0.5437 0.2500 N
0.7445 0.0437 0.2500 N
0.2445 0.4563 0.7500 N
0.2555 0.9563 0.7500 N
```

- Crystal system: orthorhombic
- Spin magnetization: 8.0 μB per cell
- Energy of formation from the pure elements: 351 meV/atom
- Final energy: -151.84 eV per cell
- Energy relative to the lowest polymorph listed for this composition: 92.3 meV/atom

=====

> The lowest final energy belongs to which entry?

Zr4Ru2N

=====

> energy of formation from the pure elements of number 1 (SrRuN2)?

-392 meV/atom

=====

> Which value of spin magnetization does entry 3 give?

0.0 μB per cell